DFT (PBE with a Hubbard U) results for a relaxed CaCoF4 crystal. Values from VASP.

Size of the total moment, μB per cell: 6.0
E_form, eV/atom: -3.2381
Symmetry: C2/c, No. 15

```
&SYSTEM
  ibrav = 0, nat = 12, ntyp = 3
/
ATOMIC_SPECIES
Co 58.93 Co.upf
F 19.00 F.upf
Ca 40.08 Ca.upf
ATOMIC_POSITIONS crystal
Co 0.500 0.000 0.500
F 0.680 0.572 0.322
F 0.822 0.936 0.555
F 0.936 0.822 0.055
F 0.320 0.428 0.678
F 0.064 0.178 0.945
Co 0.000 0.500 0.000
Ca 0.745 0.255 0.750
Ca 0.255 0.745 0.250
F 0.178 0.064 0.445
F 0.428 0.320 0.178
F 0.572 0.680 0.822
CELL_PARAMETERS angstrom
1.075 -5.711 -2.958
5.541 -3.287 -1.006
0.752 -4.156 3.439
```

DFT (PBE with a Hubbard U) results for a relaxed CaCoF5 crystal. Values from VASP.

Polymorph energy (0 for the lowest one), eV per atom: 0.0000
Size of the total moment, μB per cell: 4.0
E_form, eV/atom: -2.9963
Symmetry: C2/c, No. 15

```
&SYSTEM
  ibrav = 0, nat = 14, ntyp = 3
/
ATOMIC_SPECIES
Co 58.93 Co.upf
F 19.00 F.upf
Ca 40.08 Ca.upf
ATOMIC_POSITIONS crystal
Co 0.000 0.000 0.000
F 0.795 0.758 0.616
F 0.301 0.713 0.534
F 0.908 0.092 0.750
F 0.758 0.795 0.116
Ca 0.546 0.454 0.750
Co 0.000 0.000 0.500
F 0.242 0.205 0.884
F 0.205 0.242 0.384
F 0.699 0.287 0.466
F 0.287 0.699 0.966
Ca 0.454 0.546 0.250
F 0.713 0.301 0.034
F 0.092 0.908 0.250
CELL_PARAMETERS angstrom
3.274 4.534 0.000
-3.274 4.534 0.000
0.000 3.276 6.925
```

DFT (PBE with a Hubbard U) results for a relaxed CaCoF5 crystal. Values from VASP.

Polymorph energy (0 for the lowest one), eV per atom: 0.0193
Size of the total moment, μB per cell: 0.0
E_form, eV/atom: -2.9770
Symmetry: P2_1/c, No. 14

```
&SYSTEM
  ibrav = 0, nat = 28, ntyp = 3
/
ATOMIC_SPECIES
F 19.00 F.upf
Ca 40.08 Ca.upf
Co 58.93 Co.upf
ATOMIC_POSITIONS crystal
F 0.638 0.829 0.641
F 0.386 0.645 0.494
Ca 0.521 0.471 0.756
F 0.362 0.171 0.359
F 0.608 0.882 0.188
F 0.108 0.118 0.312
F 0.892 0.882 0.688
F 0.798 0.155 0.337
Ca 0.479 0.529 0.244
F 0.392 0.118 0.812
F 0.702 0.155 0.837
F 0.886 0.355 0.006
Co 0.254 0.893 0.901
F 0.862 0.829 0.141
Ca 0.979 0.471 0.256
F 0.382 0.612 0.944
F 0.202 0.845 0.663
F 0.618 0.388 0.056
F 0.614 0.355 0.506
F 0.114 0.645 0.994
Co 0.746 0.107 0.099
Ca 0.021 0.529 0.744
Co 0.754 0.107 0.599
F 0.118 0.612 0.444
Co 0.246 0.893 0.401
F 0.138 0.171 0.859
F 0.882 0.388 0.556
F 0.298 0.845 0.163
CELL_PARAMETERS angstrom
10.091 0.000 0.000
0.000 5.576 0.000
0.000 2.619 7.210
```

| no. | energy with MP2020 corrections (eV per cell) | ρ (g/cm3) | V (Å³/f.u.) |
| --- | --- | --- | --- |
| 1 | -72.40 | 3.69 | 78.7 |
| 2 | -79.32 | 3.13 | 102.8 |
| 3 | -158.10 | 3.18 | 101.4 |